The following is a DFT calculation (PBE+U) of an optimized crystal structure of Li4FeTe3O12.

a b c (Å): 5.213 5.490 7.556
angles (deg): 86.03 89.88 89.90
Positions (direct):
O  0.306  0.793  0.936
Fe  0.002  0.017  0.002
Te  0.500  0.501  0.001
O  0.875  0.987  0.740
O  0.208  0.310  0.929
Li  0.505  0.054  0.807
O  0.121  0.973  0.259
O  0.695  0.807  0.423
O  0.176  0.680  0.565
Li  0.006  0.592  0.810
Li  0.495  0.023  0.247
O  0.674  0.188  0.048
Te  0.499  0.500  0.504
O  0.805  0.678  0.049
O  0.364  0.481  0.249
Te  0.000  0.004  0.502
O  0.813  0.308  0.423
Li  0.996  0.583  0.263
O  0.639  0.489  0.751
O  0.321  0.173  0.565

- DFT formation energy: -1.78 eV/atom
- Total moment: 4.899 μB/cell
- Energy above the lowest structure with this stoichiometry: 29 meV per atom